A relaxed structure of Mg2Al16Fe6Si20O73. Source: the Materials Project database, functional PBE with a Hubbard U.

a = 10.0247 Å, b = 13.6676 Å, c = 13.6728 Å
α = 87.21°, β = 110.93°, γ = 110.92°
Fractional positions:
Si 0.7298 0.3154 0.3147
Al 0.0987 0.4277 0.9279
O 0.4912 0.3534 0.9954
O 0.4914 0.1421 0.0004
Fe 0.6754 0.5433 0.7937
O 0.1213 0.8987 0.7475
O 0.1240 0.2476 0.3989
O 0.9120 0.3535 0.3536
O 0.1240 0.0643 0.4131
Al 0.5001 0.1255 0.8753
Al 0.0987 0.3710 0.3715
Si 0.0011 0.1252 0.3753
Fe 0.6763 0.0437 0.2941
O 0.0882 0.1476 0.6476
Fe 0.3259 0.9564 0.7062
O 0.3269 0.1206 0.1205
O 0.4883 0.9951 0.3536
O 0.6526 0.8876 0.2457
O 0.2410 0.9027 0.4031
O 0.8760 0.2524 0.1011
O 0.6735 0.3796 0.3797
Si 0.3805 0.8848 0.3849
O 0.5118 0.6463 0.0047
Si 0.7297 0.2995 0.8002
O 0.7592 0.5971 0.0972
Fe 0.3233 0.4559 0.2058
O 0.1207 0.4120 0.0630
Si 0.6198 0.6152 0.1151
Si 0.7298 0.7996 0.2997
O 0.5107 0.0010 0.8589
O 0.5088 0.3578 0.4997
O 0.3469 0.6121 0.2542
O 0.7584 0.0972 0.5968
O 0.1215 0.5632 0.9125
O 0.6535 0.2464 0.8886
O 0.7587 0.5320 0.5325
Al 0.0989 0.8714 0.8715
O 0.3469 0.1696 0.3119
O 0.6737 0.7073 0.2070
O 0.6733 0.8798 0.8796
O 0.2415 0.4028 0.9031
O 0.3473 0.1132 0.7552
O 0.3470 0.8105 0.6684
Fe 0.3241 0.7058 0.9556
O 0.0885 0.1472 0.1471
Al 0.0987 0.9284 0.4278
O 0.5119 0.5010 0.3597
Si 0.3811 0.3846 0.8853
Si 0.6189 0.4442 0.4448
O 0.9118 0.3524 0.8523
O 0.5087 0.1464 0.5045
O 0.7584 0.0326 0.0323
O 0.1206 0.3981 0.2473
Si 0.2699 0.7002 0.2002
Si 0.0000 0.8750 0.6251
Al 0.4997 0.3748 0.6246
O 0.3265 0.7927 0.2931
O 0.0880 0.6473 0.1477
Si 0.9999 0.6250 0.8751
Al 0.9012 0.6286 0.6285
O 0.4888 0.4949 0.8536
O 0.3468 0.7543 0.1126
Al 0.5003 0.6246 0.8752
Si 0.3804 0.5553 0.5554
O 0.6532 0.3303 0.1882
Si 0.3813 0.0559 0.0554
O 0.6734 0.2071 0.7071
Mg 0.6748 0.2938 0.0437
O 0.8784 0.7526 0.6012
Fe 0.6737 0.7935 0.5434
O 0.4891 0.6411 0.4992
O 0.3470 0.3112 0.1693
O 0.6524 0.3871 0.7456
Si 0.7293 0.8152 0.8151
O 0.6527 0.7449 0.3867
Si 0.2704 0.2005 0.7000
O 0.8782 0.6018 0.7524
Si 0.6193 0.9446 0.9444
Al 0.4998 0.8750 0.1245
O 0.2410 0.4677 0.4675
O 0.8781 0.9365 0.5878
O 0.5110 0.0046 0.6462
O 0.9120 0.8526 0.3526
O 0.0000 0.0000 0.0000
Si 0.2709 0.1848 0.1855
Al 0.9014 0.0722 0.5722
O 0.1209 0.7476 0.8985
Al 0.5002 0.8751 0.6250
Mg 0.3253 0.2063 0.4565
Al 0.9013 0.5718 0.0721
O 0.6534 0.6894 0.8313
Si 0.2702 0.6849 0.6847
O 0.8792 0.1020 0.2527
O 0.3263 0.6202 0.6203
Al 0.5005 0.3753 0.1249
Al 0.9011 0.1291 0.1285
O 0.3265 0.2930 0.7928
O 0.3474 0.6694 0.8110
O 0.0880 0.6464 0.6465
O 0.6529 0.8315 0.6896
O 0.6532 0.1891 0.3309
O 0.3467 0.2537 0.6115
O 0.4891 0.8535 0.4954
O 0.9116 0.8531 0.8529
O 0.4885 0.4989 0.6403
O 0.5120 0.5048 0.1464
Si 0.9989 0.3748 0.1247
O 0.8760 0.4356 0.0869
Si 0.6187 0.1153 0.6147
Al 0.4999 0.1249 0.3751
Al 0.5004 0.6247 0.3750
O 0.8791 0.5882 0.9372
O 0.8794 0.0882 0.4371
O 0.4882 0.9988 0.1403
O 0.5115 0.8594 0.0007
O 0.2418 0.9681 0.9674
O 0.1220 0.9122 0.5635

Calculated values
Space group: P1, No. 1
Total energy: -7.553 eV/atom
Energy of formation: -3109 meV per atom

A relaxed structure of Mg11AlFeSi11O36. Source: the Materials Project database, functional PBE with a Hubbard U.

a = 5.0055 Å, b = 7.0023 Å, c = 14.5161 Å
α = 90.00°, β = 90.09°, γ = 90.10°
Fractional positions:
Si 0.0058 0.5053 0.8317
Mg 0.5581 0.7504 0.5049
O 0.2006 0.0528 0.3986
O 0.2007 0.4470 0.3991
O 0.7989 0.5533 0.6006
O 0.7048 0.4441 0.1052
O 0.5343 0.2504 0.2996
Mg 0.5566 0.7482 0.1718
O 0.4650 0.7505 0.3679
O 0.5402 0.2384 0.9646
O 0.0362 0.2484 0.2044
Si 0.0020 0.9956 0.8328
O 0.2017 0.0543 0.7323
Si 0.5002 0.0002 0.6669
Mg 0.9408 0.2502 0.3397
O 0.7005 0.4467 0.4350
O 0.4649 0.7497 0.7002
O 0.3007 0.9474 0.2314
O 0.7009 0.0533 0.4347
O 0.0339 0.2458 0.8698
O 0.3004 0.5515 0.8927
O 0.8037 0.9411 0.9344
Si 0.4994 0.5002 0.3341
O 0.2991 0.9428 0.8976
Mg 0.5573 0.7469 0.8365
Mg 0.0594 0.7454 0.9965
O 0.0340 0.2498 0.5341
O 0.9632 0.7514 0.7961
O 0.7973 0.9467 0.2682
Si 0.4999 0.9967 0.9981
Fe 0.9327 0.2567 0.0056
O 0.7039 0.4464 0.7667
Si 0.5007 0.4991 0.6661
O 0.8159 0.5477 0.9326
Mg 0.4442 0.2531 0.8282
Mg 0.4397 0.2522 0.1626
O 0.1858 0.4462 0.0677
O 0.2984 0.5532 0.2325
O 0.2987 0.9469 0.5654
O 0.4620 0.7618 0.0361
Mg 0.9412 0.2492 0.6712
Si 0.9999 0.5000 0.5001
Mg 0.4416 0.2497 0.4953
Al 0.4990 0.5036 0.9989
O 0.1956 0.0621 0.0648
Si 0.4998 0.0006 0.3334
O 0.2992 0.5531 0.5650
O 0.5344 0.2495 0.6319
O 0.7991 0.5543 0.2697
O 0.9657 0.7502 0.4658
O 0.7015 0.0536 0.7679
Mg 0.0588 0.7495 0.6603
O 0.7990 0.9469 0.6012
Si 0.9999 0.0000 0.5001
O 0.9637 0.7532 0.1335
O 0.2000 0.4447 0.7305
Si 0.9986 0.0013 0.1684
Mg 0.0582 0.7509 0.3292
Si 0.9958 0.4982 0.1694
O 0.7063 0.0613 0.1002

Calculated values
Space group: P1, No. 1
Total energy: -6.986 eV/atom
Energy of formation: -2975 meV per atom